Entry 1:
# Ba2Ca2NdTi2Cu2O12 (PBE, relaxed)
data_Ba2Ca2NdTi2Cu2O12
_space_group_name_H-M_alt 'P 1'
_space_group_IT_number 1
_space_group_name_Hall 'P 1'
_cell_length_a 18.0479
_cell_length_b 18.0479
_cell_length_c 18.0479
_cell_angle_alpha 167.44
_cell_angle_beta 167.44
_cell_angle_gamma 17.80
loop_
_atom_site_label
_atom_site_fract_x
_atom_site_fract_y
_atom_site_fract_z
Ba1 0.1077 0.1077 0.0000
Ba2 0.8923 0.8923 0.0000
Ca1 0.2138 0.2138 0.0000
Ca2 0.7862 0.7862 0.0000
Nd1 0.0000 0.0000 0.0000
Ti1 0.3313 0.3313 0.0000
Ti2 0.6687 0.6687 0.0000
Cu1 0.4476 0.4476 0.0000
Cu2 0.5524 0.5524 0.0000
O1 0.0422 0.5422 0.5000
O2 0.1685 0.6685 0.5000
O3 0.2774 0.2774 0.0000
O4 0.3315 0.8315 0.5000
O5 0.3889 0.3889 0.0000
O6 0.4578 0.9578 0.5000
O7 0.5422 0.0422 0.5000
O8 0.6111 0.6111 0.0000
O9 0.6685 0.1685 0.5000
O10 0.7226 0.7226 0.0000
O11 0.8315 0.3315 0.5000
O12 0.9578 0.4578 0.5000
# **Calculated volume**: 13.24 Å³ per atom

---

Entry 2:
# BaCa2Cu3O5 (PBE, relaxed)
data_BaCa2Cu3O5
_space_group_name_H-M_alt 'P 1'
_space_group_IT_number 1
_space_group_name_Hall 'P 1'
_cell_length_a 3.9474
_cell_length_b 3.9474
_cell_length_c 20.9157
_cell_angle_alpha 90.00
_cell_angle_beta 90.00
_cell_angle_gamma 90.00
loop_
_atom_site_label
_atom_site_fract_x
_atom_site_fract_y
_atom_site_fract_z
Ba1 0.0000 0.0000 0.1123
Ba2 0.0000 0.0000 0.8877
Ca1 0.0000 0.0000 0.2761
Ca2 0.0000 0.0000 0.4253
Ca3 0.0000 0.0000 0.5747
Ca4 0.0000 0.0000 0.7239
Cu1 0.5000 0.5000 0.0000
Cu2 0.5000 0.5000 0.1987
Cu3 0.5000 0.5000 0.3485
Cu4 0.5000 0.5000 0.5000
Cu5 0.5000 0.5000 0.6515
Cu6 0.5000 0.5000 0.8013
O1 0.0000 0.5000 0.1939
O2 0.0000 0.5000 0.3470
O3 0.0000 0.5000 0.5000
O4 0.0000 0.5000 0.6530
O5 0.0000 0.5000 0.8061
O6 0.5000 0.0000 0.1939
O7 0.5000 0.0000 0.3470
O8 0.5000 0.0000 0.5000
O9 0.5000 0.0000 0.6530
O10 0.5000 0.0000 0.8061
# **Calculated volume**: 14.81 Å³ per atom

---

Entry 3:
# Ba2CaSm2Ti3Cu2O14 (PBE, relaxed)
data_Ba2CaSm2Ti3Cu2O14
_space_group_name_H-M_alt 'P 1'
_space_group_IT_number 1
_space_group_name_Hall 'P 1'
_cell_length_a 3.8862
_cell_length_b 3.8862
_cell_length_c 20.7811
_cell_angle_alpha 90.00
_cell_angle_beta 90.00
_cell_angle_gamma 90.00
loop_
_atom_site_label
_atom_site_fract_x
_atom_site_fract_y
_atom_site_fract_z
Ba1 0.0000 0.0000 0.1696
Ba2 0.0000 0.0000 0.8304
Ca1 0.0000 0.0000 0.0000
Sm1 0.0000 0.0000 0.3964
Sm2 0.0000 0.0000 0.6036
Ti1 0.5000 0.5000 0.3019
Ti2 0.5000 0.5000 0.5000
Ti3 0.5000 0.5000 0.6981
Cu1 0.5000 0.5000 0.0720
Cu2 0.5000 0.5000 0.9280
O1 0.0000 0.5000 0.0762
O2 0.0000 0.5000 0.3216
O3 0.0000 0.5000 0.5000
O4 0.0000 0.5000 0.6784
O5 0.0000 0.5000 0.9238
O6 0.5000 0.0000 0.0762
O7 0.5000 0.0000 0.3216
O8 0.5000 0.0000 0.5000
O9 0.5000 0.0000 0.6784
O10 0.5000 0.0000 0.9238
O11 0.5000 0.5000 0.2162
O12 0.5000 0.5000 0.4075
O13 0.5000 0.5000 0.5925
O14 0.5000 0.5000 0.7838
# **Calculated volume**: 13.08 Å³ per atom

---

Entry 4:
# BaSrCa2TlCu3O9 (PBE, relaxed)
data_BaSrCa2TlCu3O9
_space_group_name_H-M_alt 'P 1'
_space_group_IT_number 1
_space_group_name_Hall 'P 1'
_cell_length_a 3.8450
_cell_length_b 3.8276
_cell_length_c 15.7911
_cell_angle_alpha 90.00
_cell_angle_beta 90.14
_cell_angle_gamma 90.00
loop_
_atom_site_label
_atom_site_fract_x
_atom_site_fract_y
_atom_site_fract_z
Ba1 0.0000 0.0000 0.0000
Sr1 0.9994 0.0000 0.3325
Ca1 0.9890 0.0000 0.5556
Ca2 0.9892 0.0000 0.7672
Tl1 0.5664 0.5000 0.1700
Cu1 0.4878 0.5000 0.6625
Cu2 0.4919 0.5000 0.4478
Cu3 0.4921 0.5000 0.8696
O1 0.4878 0.0000 0.6609
O2 0.4880 0.5000 0.3043
O3 0.4903 0.0000 0.4611
O4 0.4915 0.0000 0.8595
O5 0.4946 0.5000 0.0368
O6 0.9294 0.0000 0.1741
O7 0.9877 0.5000 0.6609
O8 0.9916 0.5000 0.4602
O9 0.9917 0.5000 0.8601
# **Calculated volume**: 13.67 Å³ per atom

---

Entry 5:
# Ba2Ca2TbTi3Cu2O14 (PBE, relaxed)
data_Ba2Ca2TbTi3Cu2O14
_space_group_name_H-M_alt 'P 1'
_space_group_IT_number 1
_space_group_name_Hall 'P 1'
_cell_length_a 3.9133
_cell_length_b 3.9133
_cell_length_c 19.6924
_cell_angle_alpha 90.00
_cell_angle_beta 90.00
_cell_angle_gamma 90.00
loop_
_atom_site_label
_atom_site_fract_x
_atom_site_fract_y
_atom_site_fract_z
Ba1 0.0000 0.0000 0.1930
Ba2 0.0000 0.0000 0.8070
Ca1 0.0000 0.0000 0.3976
Ca2 0.0000 0.0000 0.6024
Tb1 0.0000 0.0000 0.0000
Ti1 0.5000 0.5000 0.3011
Ti2 0.5000 0.5000 0.5000
Ti3 0.5000 0.5000 0.6989
Cu1 0.5000 0.5000 0.0874
Cu2 0.5000 0.5000 0.9126
O1 0.0000 0.5000 0.0713
O2 0.0000 0.5000 0.3065
O3 0.0000 0.5000 0.5000
O4 0.0000 0.5000 0.6935
O5 0.0000 0.5000 0.9287
O6 0.5000 0.0000 0.0713
O7 0.5000 0.0000 0.3065
O8 0.5000 0.0000 0.5000
O9 0.5000 0.0000 0.6935
O10 0.5000 0.0000 0.9287
O11 0.5000 0.5000 0.2023
O12 0.5000 0.5000 0.4019
O13 0.5000 0.5000 0.5981
O14 0.5000 0.5000 0.7977
# **Calculated volume**: 12.57 Å³ per atom

---

Entry 6:
# Ba4CaTl4Cu6O20 (PBE, relaxed)
data_Ba4CaTl4Cu6O20
_space_group_name_H-M_alt 'P 1'
_space_group_IT_number 1
_space_group_name_Hall 'P 1'
_cell_length_a 3.7244
_cell_length_b 7.4584
_cell_length_c 19.5823
_cell_angle_alpha 84.71
_cell_angle_beta 85.74
_cell_angle_gamma 90.00
loop_
_atom_site_label
_atom_site_fract_x
_atom_site_fract_y
_atom_site_fract_z
Ba1 0.0000 0.0000 0.0000
Ba2 0.9998 0.4998 0.0004
Ba3 0.3415 0.6503 0.4399
Ba4 0.3417 0.1502 0.4370
Ca1 0.2436 0.5902 0.6353
Tl1 0.4432 0.2151 0.1584
Tl2 0.4432 0.7151 0.1583
Tl3 0.8982 0.4363 0.2824
Tl4 0.8982 0.9350 0.2823
Cu1 0.5461 0.2755 0.8802
Cu2 0.5458 0.7748 0.8803
Cu3 0.6944 0.2982 0.7282
Cu4 0.6943 0.8131 0.7304
Cu5 0.7916 0.8826 0.5557
Cu6 0.7927 0.3538 0.5539
O1 0.0374 0.2709 0.9039
O2 0.0371 0.7709 0.9040
O3 0.1990 0.3207 0.7196
O4 0.1987 0.7983 0.7220
O5 0.2954 0.8509 0.5467
O6 0.2964 0.3881 0.5441
O7 0.4043 0.2259 0.2663
O8 0.4044 0.7259 0.2660
O9 0.4781 0.2410 0.0539
O10 0.4781 0.7414 0.0539
O11 0.5424 0.0211 0.8980
O12 0.5416 0.5207 0.8987
O13 0.7106 0.5616 0.7065
O14 0.7130 0.0605 0.7085
O15 0.7946 0.6194 0.5475
O16 0.8058 0.1234 0.5289
O17 0.8627 0.4181 0.3874
O18 0.8626 0.9134 0.3872
O19 0.9372 0.4970 0.1750
O20 0.9372 0.9975 0.1750
# **Calculated volume**: 15.43 Å³ per atom

---

Entry 7:
# Ba8Ca8Tl7Cu12O39 (PBE, relaxed)
data_Ba8Ca8Tl7Cu12O39
_space_group_name_H-M_alt 'P 1'
_space_group_IT_number 1
_space_group_name_Hall 'P 1'
_cell_length_a 71.3752
_cell_length_b 71.3752
_cell_length_c 71.3752
_cell_angle_alpha 176.88
_cell_angle_beta 176.88
_cell_angle_gamma 4.41
loop_
_atom_site_label
_atom_site_fract_x
_atom_site_fract_y
_atom_site_fract_z
Ba1 0.0191 0.0191 0.0000
Ba2 0.0933 0.0933 0.0000
Ba3 0.2787 0.2787 0.0000
Ba4 0.3514 0.3514 0.0000
Ba5 0.6486 0.6486 0.0000
Ba6 0.7213 0.7213 0.0000
Ba7 0.9067 0.9067 0.0000
Ba8 0.9809 0.9809 0.0000
Ca1 0.0450 0.0450 0.0000
Ca2 0.0683 0.0683 0.0000
Ca3 0.3038 0.3038 0.0000
Ca4 0.3266 0.3266 0.0000
Ca5 0.6734 0.6734 0.0000
Ca6 0.6962 0.6962 0.0000
Ca7 0.9317 0.9317 0.0000
Ca8 0.9550 0.9550 0.0000
Tl1 0.1290 0.1290 0.0000
Tl2 0.2418 0.2418 0.0000
Tl3 0.3870 0.3870 0.0000
Tl4 0.5000 0.5000 0.0000
Tl5 0.6130 0.6130 0.0000
Tl6 0.7582 0.7582 0.0000
Tl7 0.8710 0.8710 0.0000
Cu1 0.1624 0.1624 0.0000
Cu2 0.1848 0.1848 0.0000
Cu3 0.2070 0.2070 0.0000
Cu4 0.4205 0.4205 0.0000
Cu5 0.4431 0.4431 0.0000
Cu6 0.4660 0.4660 0.0000
Cu7 0.5340 0.5340 0.0000
Cu8 0.5569 0.5569 0.0000
Cu9 0.5795 0.5795 0.0000
Cu10 0.7930 0.7930 0.0000
Cu11 0.8152 0.8152 0.0000
Cu12 0.8376 0.8376 0.0000
O1 0.0000 0.0000 0.0000
O2 0.0347 0.5347 0.5000
O3 0.0571 0.5571 0.5000
O4 0.0795 0.5795 0.5000
O5 0.1143 0.1143 0.0000
O6 0.1432 0.1432 0.0000
O7 0.1624 0.6624 0.5000
O8 0.1847 0.6847 0.5000
O9 0.2072 0.7072 0.5000
O10 0.2273 0.2273 0.0000
O11 0.2565 0.2565 0.0000
O12 0.2928 0.7928 0.5000
O13 0.3153 0.8153 0.5000
O14 0.3376 0.8376 0.5000
O15 0.3723 0.3723 0.0000
O16 0.4012 0.4012 0.0000
O17 0.4205 0.9205 0.5000
O18 0.4429 0.9429 0.5000
O19 0.4653 0.9653 0.5000
O20 0.4853 0.4853 0.0000
O21 0.5147 0.5147 0.0000
O22 0.5347 0.0347 0.5000
O23 0.5571 0.0571 0.5000
O24 0.5795 0.0795 0.5000
O25 0.5988 0.5988 0.0000
O26 0.6277 0.6277 0.0000
O27 0.6624 0.1624 0.5000
O28 0.6847 0.1847 0.5000
O29 0.7072 0.2072 0.5000
O30 0.7435 0.7435 0.0000
O31 0.7727 0.7727 0.0000
O32 0.7928 0.2928 0.5000
O33 0.8153 0.3153 0.5000
O34 0.8376 0.3376 0.5000
O35 0.8568 0.8568 0.0000
O36 0.8857 0.8857 0.0000
O37 0.9205 0.4205 0.5000
O38 0.9429 0.4429 0.5000
O39 0.9653 0.4653 0.5000
# **Calculated volume**: 14.56 Å³ per atom

---

Entry 8:
# Ba2CaTl2Cu4O12 (PBE, relaxed)
data_Ba2CaTl2Cu4O12
_space_group_name_H-M_alt 'P 1'
_space_group_IT_number 1
_space_group_name_Hall 'P 1'
_cell_length_a 22.9350
_cell_length_b 22.9350
_cell_length_c 22.9350
_cell_angle_alpha 170.59
_cell_angle_beta 170.59
_cell_angle_gamma 13.32
loop_
_atom_site_label
_atom_site_fract_x
_atom_site_fract_y
_atom_site_fract_z
Ba1 0.1547 0.1547 0.0000
Ba2 0.8453 0.8453 0.0000
Ca1 0.0000 0.0000 0.0000
Tl1 0.2769 0.2769 0.0000
Tl2 0.7231 0.7231 0.0000
Cu1 0.3959 0.3959 0.0000
Cu2 0.4580 0.4580 0.0000
Cu3 0.5420 0.5420 0.0000
Cu4 0.6041 0.6041 0.0000
O1 0.0332 0.5332 0.5000
O2 0.1126 0.6126 0.5000
O3 0.2500 0.7500 0.5000
O4 0.3228 0.3228 0.0000
O5 0.3874 0.8874 0.5000
O6 0.4668 0.9668 0.5000
O7 0.5332 0.0332 0.5000
O8 0.6126 0.1126 0.5000
O9 0.6772 0.6772 0.0000
O10 0.7500 0.2500 0.5000
O11 0.8874 0.3874 0.5000
O12 0.9668 0.4668 0.5000
# **Calculated volume**: 15.35 Å³ per atom

---

Entry 9:
# Ba2CaTl2Cu4O12 (PBE, relaxed)
data_Ba2CaTl2Cu4O12
_space_group_name_H-M_alt 'P 1'
_space_group_IT_number 1
_space_group_name_Hall 'P 1'
_cell_length_a 22.9108
_cell_length_b 22.9108
_cell_length_c 22.9108
_cell_angle_alpha 170.77
_cell_angle_beta 170.77
_cell_angle_gamma 13.07
loop_
_atom_site_label
_atom_site_fract_x
_atom_site_fract_y
_atom_site_fract_z
Ba1 0.1564 0.1564 0.0000
Ba2 0.8436 0.8436 0.0000
Ca1 0.0000 0.0000 0.0000
Tl1 0.2766 0.2766 0.0000
Tl2 0.7234 0.7234 0.0000
Cu1 0.3956 0.3956 0.0000
Cu2 0.4571 0.4571 0.0000
Cu3 0.5429 0.5429 0.0000
Cu4 0.6044 0.6044 0.0000
O1 0.0337 0.5337 0.5000
O2 0.1135 0.6135 0.5000
O3 0.2301 0.2301 0.0000
O4 0.3212 0.3212 0.0000
O5 0.3865 0.8865 0.5000
O6 0.4663 0.9663 0.5000
O7 0.5337 0.0337 0.5000
O8 0.6135 0.1135 0.5000
O9 0.6788 0.6788 0.0000
O10 0.7699 0.7699 0.0000
O11 0.8865 0.3865 0.5000
O12 0.9663 0.4663 0.5000
# **Calculated volume**: 14.74 Å³ per atom

---

Entry 10:
# Ba10CaY4Cu15O35 (PBE, relaxed)
data_Ba10CaY4Cu15O35
_space_group_name_H-M_alt 'P 1'
_space_group_IT_number 1
_space_group_name_Hall 'P 1'
_cell_length_a 8.6306
_cell_length_b 8.7097
_cell_length_c 12.4633
_cell_angle_alpha 73.66
_cell_angle_beta 81.83
_cell_angle_gamma 89.25
loop_
_atom_site_label
_atom_site_fract_x
_atom_site_fract_y
_atom_site_fract_z
Ba1 0.0368 0.0730 0.3171
Ba2 0.1640 0.3265 0.6829
Ba3 0.2372 0.4732 0.3170
Ba4 0.3639 0.7269 0.6828
Ba5 0.4373 0.8741 0.3146
Ba6 0.5627 0.1259 0.6854
Ba7 0.6361 0.2731 0.3172
Ba8 0.7628 0.5268 0.6830
Ba9 0.8360 0.6735 0.3171
Ba10 0.9632 0.9270 0.6829
Ca1 0.5000 0.0000 0.0000
Y1 0.1020 0.1990 0.0000
Y2 0.3012 0.6018 0.0000
Y3 0.6988 0.3982 0.0000
Y4 0.8980 0.8010 0.0000
Cu1 0.0291 0.5580 0.8551
Cu2 0.1000 0.7001 0.4999
Cu3 0.1727 0.8423 0.1451
Cu4 0.2307 0.9585 0.8549
Cu5 0.3000 0.0999 0.5000
Cu6 0.3715 0.2403 0.1452
Cu7 0.4295 0.3566 0.8548
Cu8 0.5000 0.5000 0.5000
Cu9 0.5705 0.6434 0.1452
Cu10 0.6285 0.7597 0.8548
Cu11 0.7000 0.9001 0.5000
Cu12 0.7693 0.0415 0.1451
Cu13 0.8273 0.1577 0.8549
Cu14 0.9000 0.2999 0.5001
Cu15 0.9709 0.4420 0.1449
O1 0.0000 0.5000 0.5000
O2 0.0241 0.0480 0.8799
O3 0.0680 0.6362 0.6590
O4 0.0752 0.6518 0.1214
O5 0.1237 0.7489 0.8785
O6 0.1315 0.7633 0.3418
O7 0.1760 0.3525 0.1205
O8 0.2004 0.9005 0.4998
O9 0.2241 0.4489 0.8796
O10 0.2680 0.0363 0.6585
O11 0.2697 0.0525 0.1250
O12 0.3197 0.1525 0.8750
O13 0.3316 0.1636 0.3415
O14 0.3723 0.7449 0.1243
O15 0.4001 0.3003 0.4999
O16 0.4220 0.8443 0.8757
O17 0.4682 0.4365 0.6586
O18 0.4758 0.4516 0.1211
O19 0.5242 0.5484 0.8789
O20 0.5318 0.5635 0.3414
O21 0.5780 0.1557 0.1243
O22 0.5999 0.6997 0.5001
O23 0.6277 0.2551 0.8757
O24 0.6684 0.8364 0.6585
O25 0.6803 0.8475 0.1250
O26 0.7303 0.9475 0.8750
O27 0.7320 0.9637 0.3415
O28 0.7759 0.5511 0.1204
O29 0.7996 0.0995 0.5002
O30 0.8240 0.6475 0.8795
O31 0.8685 0.2367 0.6582
O32 0.8763 0.2511 0.1215
O33 0.9248 0.3482 0.8786
O34 0.9320 0.3638 0.3410
O35 0.9759 0.9520 0.1201
# **Calculated volume**: 13.69 Å³ per atom

---

Entry 11:
# BaCaDy2F10 (PBE, relaxed)
data_BaCaDy2F10
_space_group_name_H-M_alt 'P 1'
_space_group_IT_number 1
_space_group_name_Hall 'P 1'
_cell_length_a 5.2150
_cell_length_b 5.2150
_cell_length_c 7.0728
_cell_angle_alpha 91.89
_cell_angle_beta 91.89
_cell_angle_gamma 95.98
loop_
_atom_site_label
_atom_site_fract_x
_atom_site_fract_y
_atom_site_fract_z
Ba1 0.0000 0.0000 0.0000
Ca1 0.5000 0.5000 0.0000
Dy1 0.0000 0.5000 0.5000
Dy2 0.5000 0.0000 0.5000
F1 0.0000 0.0000 0.5000
F2 0.0000 0.5000 0.0000
F3 0.2433 0.7414 0.2901
F4 0.2586 0.7567 0.7099
F5 0.2686 0.2686 0.7395
F6 0.5000 0.0000 0.0000
F7 0.5000 0.5000 0.5000
F8 0.7314 0.7314 0.2605
F9 0.7414 0.2433 0.2901
F10 0.7567 0.2586 0.7099
# **Calculated volume**: 13.65 Å³ per atom

---

Entry 12:
# BaCaEuSbO6 (PBE, relaxed)
data_BaCaEuSbO6
_space_group_name_H-M_alt 'P 1'
_space_group_IT_number 1
_space_group_name_Hall 'P 1'
_cell_length_a 5.9771
_cell_length_b 5.9771
_cell_length_c 5.9771
_cell_angle_alpha 60.00
_cell_angle_beta 60.00
_cell_angle_gamma 60.00
loop_
_atom_site_label
_atom_site_fract_x
_atom_site_fract_y
_atom_site_fract_z
Ba1 0.0000 0.0000 0.0000
Ca1 0.7500 0.7500 0.7500
Eu1 0.5000 0.5000 0.5000
Sb1 0.2500 0.2500 0.2500
O1 0.0150 0.0150 0.4850
O2 0.0150 0.4850 0.0150
O3 0.0150 0.4850 0.4850
O4 0.4850 0.0150 0.0150
O5 0.4850 0.0150 0.4850
O6 0.4850 0.4850 0.0150
# **Calculated volume**: 15.10 Å³ per atom

---

So what do the calculations give for ΔH_f (0 K)? Going down the list: -2928; -1919; -3102; -2047; -3019; -1446; -1970; -1417; -1457; -2140; -3917; -2746 meV/atom.